# LuTa3O9

LuTa3O9 after structural relaxation (PBE, the Materials Project).

Unit cell a=7.489 b=5.230 c=8.312 alpha=87.37 beta=90.00 gamma=90.00
Atoms (fractional coordinates):
O (0.955, 0.747, 0.468)
O (0.750, 0.097, 0.024)
Lu (0.250, 0.963, 0.435)
O (0.568, 0.855, 0.783)
O (0.932, 0.855, 0.783)
Ta (0.494, 0.532, 0.694)
Ta (0.500, 0.000, 0.000)
Ta (0.506, 0.468, 0.306)
O (0.545, 0.747, 0.468)
O (0.250, 0.903, 0.976)
O (0.447, 0.329, 0.879)
O (0.947, 0.671, 0.121)
Lu (0.750, 0.037, 0.565)
O (0.053, 0.329, 0.879)
O (0.432, 0.145, 0.217)
O (0.045, 0.253, 0.532)
O (0.250, 0.670, 0.651)
O (0.750, 0.330, 0.349)
Ta (0.000, 0.000, 0.000)
O (0.455, 0.253, 0.532)
O (0.068, 0.145, 0.217)
O (0.250, 0.587, 0.317)
O (0.750, 0.413, 0.683)
Ta (0.006, 0.532, 0.694)
Ta (0.994, 0.468, 0.306)
O (0.553, 0.671, 0.121)

Properties
Its symmetry is P2_1/m, No. 11. The formation energy is -3.52 eV per atom. Its relative energy among the computed polymorphs is 0.000 eV per formula unit.

# SrC4S4N2O8F12

SrC4S4N2O8F12 after structural relaxation (PBE, the Materials Project).

Unit cell a=6.667 b=11.476 c=12.732 alpha=76.28 beta=90.00 gamma=90.00
Atoms (fractional coordinates):
F (0.022, 0.162, 0.237)
F (0.618, 0.090, 0.633)
F (0.469, 0.870, 0.026)
N (0.843, 0.295, 0.475)
F (0.227, 0.907, 0.653)
F (0.773, 0.093, 0.347)
O (0.264, 0.360, 0.774)
O (0.910, 0.371, 0.830)
O (0.910, 0.629, 0.670)
C (0.055, 0.157, 0.836)
S (0.367, 0.320, 0.023)
N (0.157, 0.705, 0.525)
O (0.667, 0.353, 0.625)
F (0.077, 0.898, 0.089)
F (0.773, 0.907, 0.153)
S (0.104, 0.686, 0.650)
C (0.505, 0.829, 0.937)
O (0.505, 0.607, 0.553)
O (0.736, 0.640, 0.226)
N (0.157, 0.295, 0.975)
F (0.227, 0.093, 0.847)
F (0.531, 0.870, 0.526)
F (0.382, 0.910, 0.367)
S (0.633, 0.680, 0.977)
F (0.671, 0.815, 0.389)
O (0.736, 0.360, 0.274)
O (0.495, 0.393, 0.447)
F (0.329, 0.815, 0.889)
F (0.077, 0.102, 0.411)
C (0.945, 0.157, 0.336)
C (0.055, 0.843, 0.664)
F (0.618, 0.910, 0.867)
O (0.495, 0.607, 0.053)
F (0.923, 0.102, 0.911)
C (0.945, 0.843, 0.164)
C (0.505, 0.171, 0.563)
S (0.896, 0.314, 0.350)
F (0.382, 0.090, 0.133)
O (0.667, 0.647, 0.875)
C (0.495, 0.171, 0.063)
O (0.090, 0.371, 0.330)
Sr (0.404, 0.500, 0.250)
N (0.843, 0.705, 0.025)
F (0.671, 0.185, 0.111)
O (0.333, 0.353, 0.125)
Sr (0.596, 0.500, 0.750)
C (0.495, 0.829, 0.437)
O (0.090, 0.629, 0.170)
O (0.333, 0.647, 0.375)
S (0.367, 0.680, 0.477)
S (0.896, 0.686, 0.150)
S (0.633, 0.320, 0.523)
O (0.264, 0.640, 0.726)
S (0.104, 0.314, 0.850)
F (0.923, 0.898, 0.589)
F (0.531, 0.130, 0.974)
O (0.505, 0.393, 0.947)
F (0.022, 0.838, 0.263)
F (0.978, 0.838, 0.763)
F (0.978, 0.162, 0.737)
F (0.329, 0.185, 0.611)
F (0.469, 0.130, 0.474)

Properties
Its symmetry is P2/c, No. 13. The formation energy is -1.69 eV per atom.

# LaTeCl

LaTeCl after structural relaxation (PBE, the Materials Project).

Unit cell a=4.557 b=4.557 c=8.337 alpha=90.00 beta=90.00 gamma=90.00
Atoms (fractional coordinates):
Cl (0.500, 0.500, 0.000)
Te (0.500, 0.000, 0.638)
Te (0.000, 0.500, 0.362)
La (0.000, 0.500, 0.758)
Cl (0.000, 0.000, 0.000)
La (0.500, 0.000, 0.242)

Properties
Its symmetry is P4/nmm, No. 129. The formation energy is -2.17 eV per atom. Its relative energy among the computed polymorphs is 0.010 eV per formula unit.

# Nd2Si4RuRh3

Nd2Si4RuRh3 after structural relaxation (PBE, the Materials Project).

Unit cell a=4.140 b=4.140 c=10.115 alpha=90.00 beta=90.00 gamma=90.00
Atoms (fractional coordinates):
Si (0.000, 0.000, 0.626)
Nd (0.500, 0.500, 0.497)
Rh (0.500, 0.000, 0.750)
Nd (0.000, 0.000, 0.003)
Rh (0.000, 0.500, 0.750)
Si (0.500, 0.500, 0.131)
Si (0.000, 0.000, 0.369)
Rh (0.500, 0.000, 0.250)
Ru (0.000, 0.500, 0.250)
Si (0.500, 0.500, 0.874)

Properties
Its symmetry is P-4m2, No. 115. The formation energy is -1.05 eV per atom.

# Te3Rh4N2

Te3Rh4N2 after structural relaxation (PBE, the Materials Project).

Unit cell a=6.655 b=10.333 c=9.468 alpha=90.00 beta=90.00 gamma=90.00
Atoms (fractional coordinates):
Te (0.617, 0.750, 0.662)
Rh (0.871, 0.750, 0.395)
Rh (0.206, 0.031, 0.425)
Te (0.117, 0.750, 0.838)
Rh (0.706, 0.469, 0.075)
Te (0.383, 0.250, 0.338)
Te (0.442, 0.080, 0.683)
N (0.456, 0.119, 0.005)
N (0.456, 0.381, 0.005)
Rh (0.371, 0.750, 0.105)
Rh (0.725, 0.750, 0.923)
Rh (0.775, 0.250, 0.423)
Rh (0.706, 0.031, 0.075)
Rh (0.629, 0.250, 0.895)
Te (0.442, 0.420, 0.683)
N (0.544, 0.619, 0.995)
Rh (0.794, 0.531, 0.575)
Te (0.942, 0.080, 0.817)
Rh (0.225, 0.750, 0.577)
Te (0.942, 0.420, 0.817)
Rh (0.794, 0.969, 0.575)
Te (0.558, 0.580, 0.317)
Rh (0.294, 0.531, 0.925)
Te (0.058, 0.920, 0.183)
Rh (0.206, 0.469, 0.425)
Te (0.883, 0.250, 0.162)
Te (0.558, 0.920, 0.317)
N (0.956, 0.119, 0.495)
N (0.544, 0.881, 0.995)
Rh (0.275, 0.250, 0.077)
N (0.044, 0.881, 0.505)
N (0.044, 0.619, 0.505)
Rh (0.129, 0.250, 0.605)
Rh (0.294, 0.969, 0.925)
N (0.956, 0.381, 0.495)
Te (0.058, 0.580, 0.183)

Properties
Its symmetry is Pnma, No. 62. The formation energy is 0.09 eV per atom.

# LuAs

LuAs after structural relaxation (PBE, the Materials Project).

Unit cell a=4.035 b=4.035 c=4.035 alpha=60.00 beta=60.00 gamma=60.00
Atoms (fractional coordinates):
As (0.000, 0.000, 0.000)
Lu (0.500, 0.500, 0.500)

Properties
Its symmetry is Fm-3m, No. 225. The formation energy is -1.47 eV per atom.

# ZnSb2O4

ZnSb2O4 after structural relaxation (PBE, the Materials Project).

Unit cell a=8.669 b=8.669 c=6.081 alpha=90.00 beta=90.00 gamma=90.00
Atoms (fractional coordinates):
O (0.681, 0.819, 0.750)
O (0.638, 0.094, 0.000)
Sb (0.820, 0.164, 0.500)
Sb (0.336, 0.680, 0.000)
Sb (0.664, 0.320, 0.000)
Sb (0.320, 0.336, 0.500)
Sb (0.680, 0.664, 0.500)
O (0.594, 0.138, 0.500)
Sb (0.180, 0.836, 0.500)
Zn (0.000, 0.500, 0.750)
O (0.181, 0.681, 0.250)
O (0.406, 0.862, 0.500)
Zn (0.000, 0.500, 0.250)
Zn (0.500, 0.000, 0.250)
O (0.181, 0.681, 0.750)
O (0.094, 0.362, 0.500)
O (0.138, 0.406, 0.000)
O (0.319, 0.181, 0.750)
O (0.681, 0.819, 0.250)
O (0.362, 0.906, 0.000)
Sb (0.836, 0.820, 0.000)
O (0.906, 0.638, 0.500)
O (0.319, 0.181, 0.250)
O (0.819, 0.319, 0.750)
Zn (0.500, 0.000, 0.750)
O (0.862, 0.594, 0.000)
Sb (0.164, 0.180, 0.000)
O (0.819, 0.319, 0.250)

Properties
Its symmetry is P4_2/mbc, No. 135. The formation energy is -1.75 eV per atom. Its relative energy among the computed polymorphs is 0.000 eV per formula unit.

# Pr3UCl3O6

Pr3UCl3O6 after structural relaxation (PBE, the Materials Project).

Unit cell a=9.515 b=9.515 c=5.611 alpha=90.00 beta=90.00 gamma=120.00
Atoms (fractional coordinates):
Pr (0.686, 0.595, 0.250)
Pr (0.314, 0.405, 0.750)
Cl (0.811, 0.752, 0.750)
U (0.667, 0.333, 0.750)
Cl (0.189, 0.248, 0.250)
O (0.848, 0.483, 0.507)
O (0.365, 0.848, 0.493)
O (0.483, 0.635, 0.493)
O (0.848, 0.483, 0.993)
O (0.635, 0.152, 0.507)
U (0.333, 0.667, 0.250)
O (0.635, 0.152, 0.993)
O (0.152, 0.517, 0.493)
O (0.152, 0.517, 0.007)
Cl (0.248, 0.059, 0.750)
Pr (0.405, 0.091, 0.250)
Pr (0.595, 0.909, 0.750)
Cl (0.752, 0.941, 0.250)
O (0.517, 0.365, 0.507)
Cl (0.941, 0.189, 0.750)
Pr (0.091, 0.686, 0.750)
O (0.517, 0.365, 0.993)
O (0.483, 0.635, 0.007)
Pr (0.909, 0.314, 0.250)
O (0.365, 0.848, 0.007)
Cl (0.059, 0.811, 0.250)

Properties
Its symmetry is P6_3/m, No. 176. The formation energy is -3.36 eV per atom.

What is the formula in the fourth record? Nd2Si4RuRh3